# 1
# BaMg6Co | Materials Project | PBE | optimized geometry
data_BaMg6Co
_symmetry_space_group_name_H-M 'P 1'
_symmetry_Int_Tables_number 1
_cell_length_a 4.984
_cell_length_b 5.950
_cell_length_c 13.749
_cell_angle_alpha 90.00
_cell_angle_beta 90.00
_cell_angle_gamma 90.00
loop_
_symmetry_equiv_pos_as_xyz
'x,y,z'
loop_
_atom_site_label
_atom_site_fract_x
_atom_site_fract_y
_atom_site_fract_z
Mg1 0.000 0.500 0.374
Mg2 0.000 0.765 0.075
Co1 0.500 0.500 0.595
Mg3 0.500 0.745 0.945
Mg4 0.000 0.000 0.289
Ba1 0.500 0.500 0.202
Mg5 0.000 0.000 0.874
Mg6 0.000 0.500 0.789
Mg7 0.500 0.755 0.445
Mg8 0.500 0.245 0.445
Mg9 0.000 0.235 0.075
Co2 0.500 0.000 0.095
Mg10 0.000 0.735 0.575
Ba2 0.500 0.000 0.702
Mg11 0.500 0.255 0.945
Mg12 0.000 0.265 0.575
# E_form (eV/atom): 0.21

# 2
# Ba2CoN2 | Materials Project | PBE | optimized geometry
data_Ba2CoN2
_symmetry_space_group_name_H-M 'P 1'
_symmetry_Int_Tables_number 1
_cell_length_a 4.120
_cell_length_b 4.122
_cell_length_c 7.062
_cell_angle_alpha 106.97
_cell_angle_beta 106.96
_cell_angle_gamma 90.00
loop_
_symmetry_equiv_pos_as_xyz
'x,y,z'
loop_
_atom_site_label
_atom_site_fract_x
_atom_site_fract_y
_atom_site_fract_z
Co1 0.500 0.500 0.500
N1 0.367 0.367 0.234
N2 0.633 0.633 0.766
Ba1 0.858 0.858 0.216
Ba2 0.142 0.142 0.784
# E_form (eV/atom): -0.52
# SG: I4/mmm

# 3
# BaCoN2 | Materials Project | PBE | optimized geometry
data_BaCoN2
_symmetry_space_group_name_H-M 'P 1'
_symmetry_Int_Tables_number 1
_cell_length_a 6.426
_cell_length_b 11.474
_cell_length_c 7.692
_cell_angle_alpha 90.00
_cell_angle_beta 90.00
_cell_angle_gamma 26.77
loop_
_symmetry_equiv_pos_as_xyz
'x,y,z'
loop_
_atom_site_label
_atom_site_fract_x
_atom_site_fract_y
_atom_site_fract_z
N1 0.500 0.654 0.750
Ba1 0.000 0.659 0.940
N2 0.500 0.346 0.250
N3 0.500 0.154 0.750
Co1 0.000 0.447 0.634
Co2 0.000 0.553 0.366
Co3 0.000 0.053 0.134
Ba2 0.000 0.341 0.060
N4 0.000 0.889 0.088
Ba3 0.000 0.841 0.440
Ba4 0.000 0.159 0.560
N5 0.000 0.389 0.412
Co4 0.000 0.947 0.866
N6 0.000 0.611 0.588
N7 0.000 0.111 0.912
N8 0.500 0.846 0.250
# E_form (eV/atom): -0.43
# SG: Cmce

# 4
# BaNd2CoS5 | Materials Project | PBE | optimized geometry
data_BaNd2CoS5
_symmetry_space_group_name_H-M 'P 1'
_symmetry_Int_Tables_number 1
_cell_length_a 8.755
_cell_length_b 8.755
_cell_length_c 8.755
_cell_angle_alpha 126.53
_cell_angle_beta 126.53
_cell_angle_gamma 79.03
loop_
_symmetry_equiv_pos_as_xyz
'x,y,z'
loop_
_atom_site_label
_atom_site_fract_x
_atom_site_fract_y
_atom_site_fract_z
Nd1 0.337 0.163 0.500
S1 0.490 0.990 0.209
Nd2 0.837 0.337 0.174
S2 0.219 0.719 0.209
Co1 0.750 0.250 0.500
S3 0.719 0.510 0.500
Ba1 0.250 0.250 0.000
S4 0.510 0.010 0.791
Nd3 0.663 0.837 0.500
S5 0.281 0.490 0.500
S6 0.781 0.281 0.791
S7 0.000 0.000 0.000
Ba2 0.750 0.750 0.000
Nd4 0.163 0.663 0.826
Co2 0.250 0.750 0.500
S8 0.500 0.500 0.000
S9 0.990 0.781 0.500
S10 0.010 0.219 0.500
# E_form (eV/atom): -1.94
# SG: I4/mcm

# 5
# BaPr2CoS5 | Materials Project | PBE | optimized geometry
data_BaPr2CoS5
_symmetry_space_group_name_H-M 'P 1'
_symmetry_Int_Tables_number 1
_cell_length_a 8.785
_cell_length_b 8.785
_cell_length_c 8.785
_cell_angle_alpha 126.36
_cell_angle_beta 126.36
_cell_angle_gamma 79.29
loop_
_symmetry_equiv_pos_as_xyz
'x,y,z'
loop_
_atom_site_label
_atom_site_fract_x
_atom_site_fract_y
_atom_site_fract_z
Co1 0.250 0.750 0.500
Pr1 0.663 0.837 0.500
Pr2 0.837 0.337 0.174
Pr3 0.163 0.663 0.826
Ba1 0.750 0.750 0.000
S1 0.000 0.000 0.000
Pr4 0.337 0.163 0.500
Ba2 0.250 0.250 0.000
S2 0.782 0.282 0.791
S3 0.009 0.218 0.500
S4 0.718 0.509 0.500
S5 0.991 0.782 0.500
S6 0.500 0.500 0.000
S7 0.218 0.718 0.209
Co2 0.750 0.250 0.500
S8 0.491 0.991 0.209
S9 0.282 0.491 0.500
S10 0.509 0.009 0.791
# E_form (eV/atom): -1.94
# SG: I4/mcm

# 6
# Ba6Co25S27 | Materials Project | PBE | optimized geometry
data_Ba6Co25S27
_symmetry_space_group_name_H-M 'P 1'
_symmetry_Int_Tables_number 1
_cell_length_a 9.986
_cell_length_b 9.986
_cell_length_c 9.986
_cell_angle_alpha 90.00
_cell_angle_beta 90.00
_cell_angle_gamma 90.00
loop_
_symmetry_equiv_pos_as_xyz
'x,y,z'
loop_
_atom_site_label
_atom_site_fract_x
_atom_site_fract_y
_atom_site_fract_z
Co1 0.129 0.630 0.129
S1 0.261 0.739 0.739
Co2 0.370 0.871 0.871
S2 0.500 0.500 0.500
Ba1 0.500 0.194 0.500
S3 0.244 0.500 0.000
S4 0.000 0.756 0.500
Co3 0.871 0.630 0.129
S5 0.739 0.739 0.261
S6 0.500 0.000 0.244
Ba2 0.500 0.500 0.194
S7 0.000 0.000 0.761
Co4 0.871 0.630 0.871
Co5 0.871 0.129 0.370
Co6 0.370 0.129 0.129
Co7 0.871 0.370 0.129
Co8 0.630 0.129 0.129
Co9 0.630 0.871 0.871
Ba3 0.500 0.806 0.500
S8 0.000 0.500 0.756
S9 0.739 0.261 0.261
Co10 0.871 0.370 0.871
S10 0.500 0.000 0.756
Co11 0.630 0.129 0.871
S11 0.261 0.739 0.261
S12 0.244 0.000 0.500
S13 0.261 0.261 0.739
S14 0.000 0.239 0.000
Co12 0.129 0.871 0.630
Ba4 0.194 0.500 0.500
Ba5 0.500 0.500 0.806
Co13 0.129 0.370 0.871
S15 0.261 0.261 0.261
S16 0.500 0.244 0.000
Co14 0.871 0.129 0.630
Co15 0.129 0.871 0.370
Co16 0.630 0.871 0.129
S17 0.000 0.500 0.244
Co17 0.370 0.871 0.129
Co18 0.370 0.129 0.871
S18 0.000 0.000 0.239
Co19 0.129 0.370 0.129
S19 0.000 0.244 0.500
S20 0.761 0.000 0.000
Co20 0.129 0.630 0.871
S21 0.239 0.000 0.000
S22 0.739 0.739 0.739
Co21 0.871 0.871 0.630
Co22 0.871 0.871 0.370
S23 0.756 0.000 0.500
S24 0.756 0.500 0.000
Co23 0.129 0.129 0.630
S25 0.500 0.756 0.000
Co24 0.129 0.129 0.370
S26 0.739 0.261 0.739
S27 0.000 0.761 0.000
Co25 0.000 0.000 0.000
Ba6 0.806 0.500 0.500
# E_form (eV/atom): -0.95
# SG: Pm-3m

# 7
# BaCoSe2 | Materials Project | PBE | optimized geometry
data_BaCoSe2
_symmetry_space_group_name_H-M 'P 1'
_symmetry_Int_Tables_number 1
_cell_length_a 4.200
_cell_length_b 4.200
_cell_length_c 6.312
_cell_angle_alpha 109.43
_cell_angle_beta 109.43
_cell_angle_gamma 90.00
loop_
_symmetry_equiv_pos_as_xyz
'x,y,z'
loop_
_atom_site_label
_atom_site_fract_x
_atom_site_fract_y
_atom_site_fract_z
Se1 0.341 0.341 0.683
Co1 0.250 0.750 0.500
Se2 0.659 0.659 0.317
Ba1 0.000 0.000 0.000
# E_form (eV/atom): -1.17
# SG: I-4m2

# 8
# BaCo2Sn8 | Materials Project | PBE | optimized geometry
data_BaCo2Sn8
_symmetry_space_group_name_H-M 'P 1'
_symmetry_Int_Tables_number 1
_cell_length_a 9.166
_cell_length_b 9.166
_cell_length_c 14.259
_cell_angle_alpha 90.00
_cell_angle_beta 90.00
_cell_angle_gamma 112.21
loop_
_symmetry_equiv_pos_as_xyz
'x,y,z'
loop_
_atom_site_label
_atom_site_fract_x
_atom_site_fract_y
_atom_site_fract_z
Co1 0.572 0.279 0.830
Sn1 0.591 0.395 0.000
Sn2 0.537 0.841 0.665
Sn3 0.278 0.195 0.115
Sn4 0.278 0.195 0.885
Ba1 0.793 0.104 0.500
Sn5 0.463 0.159 0.335
Sn6 0.500 0.000 0.894
Sn7 0.000 0.500 0.606
Sn8 0.841 0.537 0.835
Sn9 0.409 0.605 0.000
Sn10 0.195 0.278 0.615
Ba2 0.104 0.793 0.000
Co2 0.279 0.572 0.670
Sn11 0.500 0.500 0.250
Sn12 0.206 0.794 0.750
Sn13 0.537 0.841 0.335
Sn14 0.195 0.278 0.385
Sn15 0.722 0.805 0.115
Ba3 0.896 0.207 0.000
Sn16 0.794 0.206 0.750
Sn17 0.463 0.159 0.665
Sn18 0.722 0.805 0.885
Co3 0.428 0.721 0.170
Co4 0.279 0.572 0.330
Sn19 0.395 0.591 0.500
Sn20 0.500 0.500 0.750
Sn21 0.605 0.409 0.500
Sn22 0.500 0.000 0.106
Ba4 0.207 0.896 0.500
Sn23 0.206 0.794 0.250
Sn24 0.000 0.000 0.750
Sn25 0.159 0.463 0.835
Sn26 0.805 0.722 0.385
Sn27 0.000 0.500 0.394
Sn28 0.000 0.000 0.250
Sn29 0.794 0.206 0.250
Co5 0.572 0.279 0.170
Sn30 0.159 0.463 0.165
Co6 0.428 0.721 0.830
Co7 0.721 0.428 0.670
Co8 0.721 0.428 0.330
Sn31 0.841 0.537 0.165
Sn32 0.805 0.722 0.615
# E_form (eV/atom): -0.23
# SG: Cccm

# 9
# BaMg14Cr | Materials Project | PBE | optimized geometry
data_BaMg14Cr
_symmetry_space_group_name_H-M 'P 1'
_symmetry_Int_Tables_number 1
_cell_length_a 6.605
_cell_length_b 6.462
_cell_length_c 10.568
_cell_angle_alpha 90.00
_cell_angle_beta 90.00
_cell_angle_gamma 119.29
loop_
_symmetry_equiv_pos_as_xyz
'x,y,z'
loop_
_atom_site_label
_atom_site_fract_x
_atom_site_fract_y
_atom_site_fract_z
Mg1 0.167 0.334 0.625
Mg2 0.654 0.836 0.125
Mg3 0.654 0.318 0.125
Mg4 0.842 0.671 0.887
Mg5 0.162 0.831 0.625
Mg6 0.842 0.671 0.363
Mg7 0.825 0.163 0.392
Mg8 0.825 0.163 0.858
Mg9 0.666 0.338 0.625
Mg10 0.340 0.161 0.387
Mg11 0.666 0.829 0.625
Cr1 0.177 0.839 0.125
Mg12 0.340 0.680 0.387
Ba1 0.157 0.329 0.125
Mg13 0.340 0.161 0.863
Mg14 0.340 0.680 0.863
# E_form (eV/atom): 0.15
# SG: Amm2

# 10
# BaMg6Cr | Materials Project | PBE | optimized geometry
data_BaMg6Cr
_symmetry_space_group_name_H-M 'P 1'
_symmetry_Int_Tables_number 1
_cell_length_a 5.269
_cell_length_b 6.725
_cell_length_c 11.869
_cell_angle_alpha 90.00
_cell_angle_beta 90.00
_cell_angle_gamma 90.00
loop_
_symmetry_equiv_pos_as_xyz
'x,y,z'
loop_
_atom_site_label
_atom_site_fract_x
_atom_site_fract_y
_atom_site_fract_z
Mg1 0.500 0.245 0.419
Mg2 0.000 0.000 0.823
Mg3 0.500 0.745 0.919
Cr1 0.500 0.000 0.661
Mg4 0.000 0.000 0.347
Mg5 0.000 0.723 0.081
Mg6 0.000 0.500 0.847
Ba1 0.500 0.000 0.168
Mg7 0.500 0.755 0.419
Mg8 0.000 0.223 0.581
Mg9 0.000 0.777 0.581
Ba2 0.500 0.500 0.668
Cr2 0.500 0.500 0.161
Mg10 0.000 0.277 0.081
Mg11 0.000 0.500 0.323
Mg12 0.500 0.255 0.919
# E_form (eV/atom): 0.28

# 11
# BaMg6Cr | Materials Project | PBE | optimized geometry
data_BaMg6Cr
_symmetry_space_group_name_H-M 'P 1'
_symmetry_Int_Tables_number 1
_cell_length_a 5.181
_cell_length_b 6.869
_cell_length_c 12.095
_cell_angle_alpha 90.00
_cell_angle_beta 90.00
_cell_angle_gamma 90.00
loop_
_symmetry_equiv_pos_as_xyz
'x,y,z'
loop_
_atom_site_label
_atom_site_fract_x
_atom_site_fract_y
_atom_site_fract_z
Mg1 0.000 0.000 0.335
Mg2 0.500 0.277 0.933
Mg3 0.000 0.732 0.081
Mg4 0.500 0.500 0.666
Cr1 0.500 0.000 0.643
Mg5 0.500 0.723 0.933
Ba1 0.000 0.500 0.329
Mg6 0.500 0.777 0.433
Cr2 0.500 0.500 0.143
Mg7 0.500 0.223 0.433
Mg8 0.000 0.268 0.081
Mg9 0.000 0.500 0.835
Mg10 0.000 0.232 0.581
Mg11 0.000 0.768 0.581
Mg12 0.500 0.000 0.166
Ba2 0.000 0.000 0.829
# E_form (eV/atom): 0.27

# 12
# BaMg14Cr | Materials Project | PBE | optimized geometry
data_BaMg14Cr
_symmetry_space_group_name_H-M 'P 1'
_symmetry_Int_Tables_number 1
_cell_length_a 6.588
_cell_length_b 6.588
_cell_length_c 10.524
_cell_angle_alpha 90.00
_cell_angle_beta 90.00
_cell_angle_gamma 120.00
loop_
_symmetry_equiv_pos_as_xyz
'x,y,z'
loop_
_atom_site_label
_atom_site_fract_x
_atom_site_fract_y
_atom_site_fract_z
Ba1 0.167 0.333 0.125
Mg1 0.833 0.667 0.368
Mg2 0.660 0.321 0.125
Mg3 0.833 0.667 0.882
Mg4 0.669 0.338 0.625
Mg5 0.336 0.164 0.393
Mg6 0.660 0.840 0.125
Mg7 0.179 0.840 0.125
Mg8 0.669 0.831 0.625
Mg9 0.162 0.831 0.625
Mg10 0.828 0.164 0.393
Cr1 0.167 0.333 0.625
Mg11 0.336 0.164 0.857
Mg12 0.828 0.164 0.857
Mg13 0.336 0.672 0.857
Mg14 0.336 0.672 0.393
# E_form (eV/atom): 0.16
# SG: P-6m2

# 13
# BaCrN2 | Materials Project | PBE | optimized geometry
data_BaCrN2
_symmetry_space_group_name_H-M 'P 1'
_symmetry_Int_Tables_number 1
_cell_length_a 6.468
_cell_length_b 6.468
_cell_length_c 7.823
_cell_angle_alpha 90.00
_cell_angle_beta 90.00
_cell_angle_gamma 125.91
loop_
_symmetry_equiv_pos_as_xyz
'x,y,z'
loop_
_atom_site_label
_atom_site_fract_x
_atom_site_fract_y
_atom_site_fract_z
N1 0.843 0.657 0.750
Ba1 0.159 0.841 0.440
N2 0.394 0.606 0.589
N3 0.343 0.157 0.750
N4 0.157 0.343 0.250
Cr1 0.949 0.051 0.136
Ba2 0.841 0.159 0.560
Ba3 0.341 0.659 0.940
N5 0.657 0.843 0.250
N6 0.606 0.394 0.411
Cr2 0.051 0.949 0.864
Cr3 0.449 0.551 0.364
N7 0.106 0.894 0.089
N8 0.894 0.106 0.911
Cr4 0.551 0.449 0.636
Ba4 0.659 0.341 0.060
# E_form (eV/atom): -0.99
# SG: Cmce

# 14
# Ba3CrN3 | Materials Project | PBE | optimized geometry
data_Ba3CrN3
_symmetry_space_group_name_H-M 'P 1'
_symmetry_Int_Tables_number 1
_cell_length_a 8.432
_cell_length_b 8.432
_cell_length_c 5.499
_cell_angle_alpha 90.00
_cell_angle_beta 90.00
_cell_angle_gamma 120.00
loop_
_symmetry_equiv_pos_as_xyz
'x,y,z'
loop_
_atom_site_label
_atom_site_fract_x
_atom_site_fract_y
_atom_site_fract_z
N1 0.136 0.455 0.250
N2 0.545 0.681 0.250
N3 0.319 0.864 0.250
Ba1 0.078 0.363 0.750
Ba2 0.363 0.284 0.250
N4 0.864 0.545 0.750
Ba3 0.922 0.637 0.250
N5 0.455 0.319 0.750
Cr1 0.667 0.333 0.750
Ba4 0.284 0.922 0.750
Ba5 0.637 0.716 0.750
Cr2 0.333 0.667 0.250
Ba6 0.716 0.078 0.250
N6 0.681 0.136 0.750
# E_form (eV/atom): -0.91
# SG: P6_3/m